# Mg8SiW9O49

A relaxed Mg8SiW9O49 crystal (PBE with a Hubbard U, Materials Project).

Unit cell a=13.5993 b=13.5993 c=14.3827 alpha=90.09 beta=90.09 gamma=119.41
Last column: nearest neighbours and their distance in Å.
Sites, in units of the cell vectors:
Mg 0.4077 0.8152 0.7037  6 O 2.01-2.13
Mg 0.1847 0.5931 0.7032  6 O 2.01-2.13
Mg 0.4083 0.5894 0.7052  5 O 2.00-2.13
Mg 0.8152 0.4077 0.2037  6 O 2.01-2.13
Mg 0.5931 0.1847 0.2032  6 O 2.01-2.13
Mg 0.5894 0.4083 0.2052  5 O 2.00-2.13
Mg 0.4642 0.2310 0.5603  5 O 1.98-2.16
Mg 0.7681 0.2307 0.5596  5 O 1.97-2.15
Mg 0.7693 0.5366 0.5602  5 O 1.97-2.17
Mg 0.2310 0.4642 0.0603  5 O 1.98-2.16
Mg 0.2307 0.7681 0.0596  5 O 1.97-2.15
Mg 0.5366 0.7693 0.0602  5 O 1.97-2.17
Mg 0.9961 0.9981 0.9296  6 O 1.97-2.11
Mg 0.9981 0.9961 0.4296  6 O 1.97-2.11
Mg 0.6664 0.3335 0.4107  6 O 2.04-2.07
Mg 0.3335 0.6664 0.9107  6 O 2.04-2.07
Si 0.6659 0.3330 0.0113  4 O 1.63-1.67
Si 0.3330 0.6659 0.5113  4 O 1.63-1.67
W 0.3298 0.9285 0.5052  3 O 1.79-1.92
W 0.0716 0.3997 0.5063  3 O 1.79-1.93
W 0.5987 0.6711 0.5074  4 O 1.79-1.96
W 0.9285 0.3298 0.0052  3 O 1.79-1.92
W 0.3997 0.0716 0.0063  3 O 1.79-1.93
W 0.6711 0.5987 0.0074  4 O 1.79-1.96
W 0.0718 0.6717 0.5047  3 O 1.79-1.93
W 0.3291 0.4006 0.5058  3 O 1.78-1.92
W 0.6011 0.9263 0.5079  4 O 1.79-1.98
W 0.6717 0.0718 0.0047  3 O 1.79-1.93
W 0.4006 0.3291 0.0058  3 O 1.78-1.92
W 0.9263 0.6011 0.0079  4 O 1.79-1.98
W 0.7605 0.2413 0.8120  5 O 1.78-1.97
W 0.7624 0.5204 0.8123  4 O 1.79-1.92
W 0.4779 0.2360 0.8121  5 O 1.78-2.00
W 0.2413 0.7605 0.3120  5 O 1.78-1.97
W 0.5204 0.7624 0.3123  4 O 1.79-1.92
W 0.2360 0.4779 0.3121  5 O 1.78-2.00
O 0.2910 0.9279 0.0153  1 W 1.79
O 0.0727 0.3638 0.0140  1 W 1.79
O 0.6356 0.7088 0.0144  1 W 1.79
O 0.9279 0.2910 0.5153  1 W 1.79
O 0.3638 0.0727 0.5140  1 W 1.79
O 0.7088 0.6356 0.5144  1 W 1.79
O 0.9274 0.6371 0.5133  1 W 1.79
O 0.3651 0.2912 0.5137  1 W 1.78
O 0.7090 0.0705 0.5167  1 W 1.79
O 0.6371 0.9274 0.0133  1 W 1.79
O 0.2912 0.3651 0.0137  1 W 1.78
O 0.0705 0.7090 0.0167  1 W 1.79
O 0.1593 0.8414 0.5194  2 W 2.02-2.03, 1 O 2.12
O 0.1599 0.3177 0.5190  2 W 2.01
O 0.6789 0.8362 0.5191  2 W 1.96-1.98
O 0.8414 0.1593 0.0194  2 W 2.02-2.03, 1 O 2.12
O 0.3177 0.1599 0.0190  2 W 2.01
O 0.8362 0.6789 0.0191  2 W 1.96-1.98
O 0.0491 0.5243 0.4713  2 W 1.93
O 0.4746 0.5236 0.4723  2 W 1.92-1.95
O 0.4757 0.9497 0.4724  2 W 1.92-1.95
O 0.5243 0.0491 0.9713  2 W 1.93
O 0.5236 0.4746 0.9723  2 W 1.92-1.95
O 0.9497 0.4757 0.9724  2 W 1.92-1.95
O 0.9046 0.2945 0.8674  2 W 1.90-2.03
O 0.7001 0.6057 0.8671  2 W 1.91-2.05
O 0.3876 0.0938 0.8677  2 W 1.89-2.04
O 0.2945 0.9046 0.3674  2 W 1.90-2.03
O 0.6057 0.7001 0.3671  2 W 1.91-2.05
O 0.0938 0.3876 0.3677  2 W 1.89-2.04
O 0.1095 0.6583 0.6232  1 W 1.81, 1 Mg 2.01
O 0.3422 0.4504 0.6249  1 W 1.82, 1 Mg 2.01
O 0.5485 0.8915 0.6261  1 W 1.82, 1 Mg 2.01
O 0.6583 0.1095 0.1232  1 W 1.81, 1 Mg 2.01
O 0.4504 0.3422 0.1249  1 W 1.82, 1 Mg 2.01
O 0.8915 0.5485 0.1261  1 W 1.82, 1 Mg 2.01
O 0.9473 0.8369 0.9112  1 Mg 1.97
O 0.1649 0.0987 0.9265  1 Mg 2.02, 2 O 2.14-2.25
O 0.9087 0.0786 0.9350  1 Mg 1.97, 2 O 2.12-2.20
O 0.8369 0.9473 0.4112  1 Mg 1.97
O 0.0987 0.1649 0.4265  1 Mg 2.02, 2 O 2.14-2.25
O 0.0786 0.9087 0.4350  1 Mg 1.97, 2 O 2.12-2.20
O 0.3418 0.8907 0.6242  1 W 1.82, 1 Mg 2.02
O 0.1088 0.4517 0.6246  1 W 1.81, 1 Mg 2.02
O 0.5469 0.6528 0.6262  1 W 1.82, 1 Mg 2.00
O 0.8907 0.3418 0.1242  1 W 1.82, 1 Mg 2.02
O 0.4517 0.1088 0.1246  1 W 1.81, 1 Mg 2.02
O 0.6528 0.5469 0.1262  1 W 1.82, 1 Mg 2.00
O 0.7198 0.4431 0.3015  3 Mg 2.04-2.12, 2 O 2.24-2.25
O 0.5568 0.2790 0.3011  3 Mg 2.04-2.12, 2 O 2.24-2.25
O 0.7220 0.2790 0.3013  3 Mg 2.04-2.12, 2 O 2.25
O 0.4431 0.7198 0.8015  3 Mg 2.04-2.12, 2 O 2.24-2.25
O 0.2790 0.5568 0.8011  3 Mg 2.04-2.12, 2 O 2.24-2.25
O 0.2790 0.7220 0.8013  3 Mg 2.04-2.12, 2 O 2.25
O 0.6032 0.2086 0.8007  2 W 1.92-1.97
O 0.7924 0.3968 0.8002  2 W 1.92-1.95
O 0.6031 0.3946 0.7987  2 W 2.00
O 0.2086 0.6032 0.3007  2 W 1.92-1.97
O 0.3968 0.7924 0.3002  2 W 1.92-1.95
O 0.3946 0.6031 0.2987  2 W 2.00
O 0.7840 0.2168 0.6944  1 W 1.78, 1 Mg 1.97
O 0.7852 0.5689 0.6949  1 W 1.79, 1 Mg 1.97
O 0.4295 0.2127 0.6945  1 W 1.78, 1 Mg 1.98
O 0.2168 0.7840 0.1944  1 W 1.78, 1 Mg 1.97
O 0.5689 0.7852 0.1949  1 W 1.79, 1 Mg 1.97
O 0.2127 0.4295 0.1945  1 W 1.78, 1 Mg 1.98
O 0.7046 0.0959 0.8667  2 W 1.91-2.03
O 0.9041 0.6104 0.8684  2 W 1.88-2.04
O 0.3913 0.2968 0.8667  2 W 1.91-2.04
O 0.0959 0.7046 0.3667  2 W 1.91-2.03
O 0.6104 0.9041 0.3684  2 W 1.88-2.04
O 0.2968 0.3913 0.3667  2 W 1.91-2.04
O 0.6118 0.3882 0.5232  3 Mg 2.06-2.17, 2 O 2.23
O 0.6124 0.2245 0.5226  3 Mg 2.07-2.14, 2 O 2.23-2.24
O 0.7755 0.3878 0.5229  3 Mg 2.07-2.15, 2 O 2.23-2.24
O 0.3882 0.6118 0.0232  3 Mg 2.06-2.17, 2 O 2.23
O 0.2245 0.6124 0.0226  3 Mg 2.07-2.14, 2 O 2.23-2.24
O 0.3878 0.7755 0.0229  3 Mg 2.07-2.15, 2 O 2.23-2.24
O 0.4846 0.9724 0.7753  1 Mg 2.13
O 0.0299 0.5184 0.7779  1 Mg 2.13
O 0.4931 0.5033 0.7765  1 Mg 2.25
O 0.9724 0.4846 0.2753  1 Mg 2.13
O 0.5184 0.0299 0.2779  1 Mg 2.13
O 0.5033 0.4931 0.2765  1 Mg 2.25
O 0.0409 0.9302 0.0394  1 Mg 2.07, 2 O 2.24-2.30
O 0.0707 0.1227 0.0341  1 Mg 2.11, 1 O 2.14
O 0.8871 0.9574 0.0448  1 Mg 2.11, 2 O 2.20-2.30
O 0.9302 0.0409 0.5394  1 Mg 2.07, 2 O 2.24-2.30
O 0.1227 0.0707 0.5341  1 Mg 2.11, 1 O 2.14
O 0.9574 0.8871 0.5448  1 Mg 2.11, 2 O 2.20-2.30
O 0.7329 0.2673 0.9701  1 Si 1.67
O 0.7314 0.4647 0.9708  1 Si 1.67
O 0.5336 0.2666 0.9707  1 Si 1.67
O 0.2673 0.7329 0.4701  1 Si 1.67
O 0.4647 0.7314 0.4708  1 Si 1.67
O 0.2666 0.5336 0.4707  1 Si 1.67
O 0.6661 0.3334 0.1243  1 Si 1.63
O 0.3334 0.6661 0.6243  1 Si 1.63

Values from the calculation:
Energy of formation (eV/atom): -1.717
Symmetry: No. 9
Final energy (eV per atom): -6.250
M_tot (μB/f.u.): 24.00